[1]
VASP calculation (PBE-GGA) on an optimized crystal structure of TmLuAu2.

Results
- symmetry = No. 225

a = 5.0194 Å, b = 5.0194 Å, c = 5.0194 Å
α = 60.00°, β = 60.00°, γ = 60.00°
Last column: nearest neighbours and their distance in Å.
Fractional coordinates of all 4 atoms:
Tm (0.0000, 0.0000, 0.0000)  8 Au 3.07
Lu (0.5000, 0.5000, 0.5000)  8 Au 3.07
Au (0.7500, 0.7500, 0.7500)  4 Lu 3.07, 4 Tm 3.07
Au (0.2500, 0.2500, 0.2500)  4 Tm 3.07, 4 Lu 3.07

[2]
VASP calculation (PBE-GGA) on an optimized crystal structure of Sn3Se.

Results
- total magnetic moment (μB/cell) = 0.0
- symmetry = No. 225

a = 5.2795 Å, b = 5.2795 Å, c = 5.2795 Å
α = 60.00°, β = 60.00°, γ = 60.00°
Last column: nearest neighbours and their distance in Å.
Fractional coordinates of all 4 atoms:
Sn (0.2500, 0.2500, 0.2500)  4 Sn 3.23, 4 Se 3.23
Sn (0.7500, 0.7500, 0.7500)  4 Sn 3.23, 4 Se 3.23
Sn (0.5000, 0.5000, 0.5000)  8 Sn 3.23
Se (0.0000, 0.0000, 0.0000)  8 Sn 3.23

[3]
VASP calculation (PBE-GGA) on an optimized crystal structure of K3AsF12.

Results
- total magnetic moment (μB/cell) = 4.0
- symmetry = No. 12

a = 7.7450 Å, b = 8.1975 Å, c = 8.3579 Å
α = 119.37°, β = 113.81°, γ = 34.58°
Last column: nearest neighbours and their distance in Å.
Fractional coordinates of all 16 atoms:
K (0.5000, 0.0000, 0.0000)  8 F 2.87-2.92
K (0.0000, 0.5000, 0.5000)  8 F 2.72-2.92
K (0.0000, 0.0000, 0.5000)  8 F 2.72-2.92
As (0.0000, 0.0000, 0.0000)  4 F 1.75
F (0.9296, 0.2385, 0.8706)  1 F 1.88
F (0.0704, 0.7615, 0.1294)  1 F 1.88
F (0.6235, 0.9875, 0.3700)  1 F 1.99
F (0.0704, 0.6321, 0.8706)  1 F 1.88
F (0.3765, 0.0125, 0.6300)  1 F 1.99
F (0.9296, 0.3679, 0.1294)  1 F 1.88
F (0.2852, 0.7206, 0.8344)  1 As 1.75
F (0.3765, 0.3825, 0.3700)  1 F 1.99
F (0.7148, 0.2794, 0.1656)  1 As 1.75
F (0.6235, 0.6175, 0.6300)  1 F 1.99
F (0.7148, 0.1138, 0.8344)  1 As 1.75
F (0.2852, 0.8862, 0.1656)  1 As 1.75

[4]
VASP calculation (PBE-GGA) on an optimized crystal structure of W.

Results
- energy above the lowest structure with this stoichiometry (meV per atom) = 87
- symmetry = No. 223

a = 5.0889 Å, b = 5.0889 Å, c = 5.0889 Å
α = 90.00°, β = 90.00°, γ = 90.00°
Last column: nearest neighbours and their distance in Å.
Fractional coordinates of all 8 atoms:
W (0.2500, 0.0000, 0.5000)  6 W 2.54-2.84
W (0.7500, 0.0000, 0.5000)  6 W 2.54-2.84
W (0.0000, 0.5000, 0.2500)  6 W 2.54-2.84
W (0.0000, 0.5000, 0.7500)  6 W 2.54-2.84
W (0.5000, 0.7500, 0.0000)  6 W 2.54-2.84
W (0.5000, 0.2500, 0.0000)  6 W 2.54-2.84
W (0.0000, 0.0000, 0.0000)  12 W 2.84
W (0.5000, 0.5000, 0.5000)  12 W 2.84

[5]
VASP calculation (PBE-GGA) on an optimized crystal structure of CuSb3P6O24.

Results
- total magnetic moment (μB/cell) = 2.0
- symmetry = No. 146

a = 8.8764 Å, b = 8.8764 Å, c = 8.8764 Å
α = 57.96°, β = 57.96°, γ = 57.96°
Last column: nearest neighbours and their distance in Å.
Fractional coordinates of all 34 atoms:
Cu (0.1448, 0.1448, 0.1448)  6 O 1.95-1.98
Sb (0.8569, 0.8569, 0.8569)  6 O 1.97-1.98
Sb (0.6435, 0.6435, 0.6435)  6 O 1.97
Sb (0.3566, 0.3566, 0.3566)  6 O 1.97-1.98
P (0.5323, 0.9640, 0.2484)  4 O 1.50-1.56
P (0.2484, 0.5323, 0.9640)  4 O 1.50-1.56
P (0.9640, 0.2484, 0.5323)  4 O 1.50-1.56
P (0.0394, 0.7555, 0.4569)  4 O 1.50-1.56
P (0.7555, 0.4569, 0.0394)  4 O 1.50-1.56
P (0.4569, 0.0394, 0.7555)  4 O 1.50-1.56
O (0.4872, 0.8673, 0.7233)  1 P 1.56
O (0.8673, 0.7233, 0.4872)  1 P 1.56
O (0.7201, 0.9408, 0.0760)  1 P 1.56
O (0.7233, 0.4872, 0.8673)  1 P 1.56
O (0.5604, 0.7815, 0.4241)  1 P 1.56
O (0.3652, 0.9858, 0.2255)  1 P 1.50
O (0.0760, 0.7201, 0.9408)  1 P 1.56
O (0.4241, 0.5604, 0.7815)  1 P 1.56
O (0.7815, 0.4241, 0.5604)  1 P 1.56
O (0.0141, 0.7719, 0.6358)  1 P 1.56
O (0.0576, 0.9265, 0.2800)  1 P 1.50
O (0.7719, 0.6358, 0.0141)  1 P 1.56
O (0.2255, 0.3652, 0.9858)  1 P 1.50
O (0.9408, 0.0760, 0.7201)  1 P 1.56
O (0.9858, 0.2255, 0.3652)  1 P 1.50
O (0.2178, 0.5733, 0.4438)  1 P 1.56
O (0.5733, 0.4438, 0.2178)  1 P 1.56
O (0.9265, 0.2800, 0.0576)  1 P 1.50
O (0.6358, 0.0141, 0.7719)  1 P 1.56
O (0.4438, 0.2178, 0.5733)  1 P 1.56
O (0.2750, 0.5158, 0.1329)  1 P 1.56
O (0.2800, 0.0576, 0.9265)  1 P 1.50
O (0.1329, 0.2750, 0.5158)  1 P 1.56
O (0.5158, 0.1329, 0.2750)  1 P 1.56

[6]
VASP calculation (PBE-GGA) on an optimized crystal structure of ThSiRh.

Results
- symmetry = No. 109

a = 7.8046 Å, b = 7.8046 Å, c = 7.8046 Å
α = 149.09°, β = 149.09°, γ = 44.29°
Last column: nearest neighbours and their distance in Å.
Fractional coordinates of all 6 atoms:
Th (0.5792, 0.5792, 0.0000)  6 Rh 3.13-3.21, 6 Si 3.16-3.23
Th (0.3292, 0.8292, 0.5000)  6 Rh 3.13-3.21, 6 Si 3.16-3.23
Si (0.0001, 0.0001, 0.0000)  3 Rh 2.40-2.42
Si (0.7501, 0.2501, 0.5000)  3 Rh 2.40-2.42
Rh (0.1677, 0.1677, 0.0000)  3 Si 2.40-2.42
Rh (0.9177, 0.4177, 0.5000)  3 Si 2.40-2.42

Number 1: electronic total energy -4.781 eV per atom, energy of formation from the pure elements -0.89 eV/atom. Number 2: electronic total energy -3.838 eV per atom, energy of formation from the pure elements -0.07 eV/atom. Number 3: electronic total energy -3.567 eV per atom, energy of formation from the pure elements -1.98 eV/atom. Number 4: electronic total energy -12.871 eV per atom, energy of formation from the pure elements 0.09 eV/atom. Number 5: electronic total energy -6.684 eV per atom, energy of formation from the pure elements -2.24 eV/atom. Number 6: electronic total energy -7.727 eV per atom, energy of formation from the pure elements -0.99 eV/atom.